Entry 1:
Below is a relaxed structure of SiO2, with properties calculated at the meta-GGA r2SCAN level.

Cell: 8.6827 20.0358 10.1448 Å, 90.00 90.00 90.00°
With the nearest neighbours (Å) after each atom.
Space group Cmce (No. 64)
Inequivalent atoms, fractional coordinates:
1 Si 0.1824 0.0551 0.1108 x16  4 O 1.60-1.61
2 Si 0.1839 0.1989 0.3933 x16  4 O 1.60-1.61
3 O 0.0000 0.0680 0.1253 x8  2 Si 1.61
4 O 0.0000 0.2034 0.3912 x8  2 Si 1.60
5 O 0.2160 0.0000 0.0000 x8  2 Si 1.60
6 O 0.2351 0.1239 0.4314 x16  2 Si 1.61
7 O 0.2500 0.0293 0.2500 x8  2 Si 1.61
8 O 0.2500 0.2184 0.2500 x8  2 Si 1.61
9 O 0.2500 0.2500 0.0000 x8  2 Si 1.60

Summary:
**Total magnetic moment**: 0.000 Bohr magnetons per cell
**Crystal system**: orthorhombic
**Calculated density**: 1.8 g/cm³
**Calculated total energy**: -9.9231 eV/atom
**Energy of formation from the pure elements**: -3.02 eV/atom

Entry 2:
Below is a relaxed structure of Te16Rh15, with properties calculated at the meta-GGA r2SCAN level.

Cell: 8.9932 8.0328 8.9933 Å, 90.00 101.23 90.00°
With the nearest neighbours (Å) after each atom.
Space group P2/m (No. 10)
Inequivalent atoms, fractional coordinates:
1 Te 0.0376 0.0000 0.2077 x2  5 Rh 2.63-2.69
2 Te 0.0385 0.5000 0.2093 x2  6 Rh 2.70-2.83
3 Te 0.2125 0.2533 0.5449 x4  5 Rh 2.65-2.73
4 Te 0.2911 0.2463 0.9569 x4  6 Rh 2.70-2.81
5 Te 0.4469 0.5000 0.2861 x2  6 Rh 2.67-2.72
6 Te 0.4606 0.0000 0.2940 x2  6 Rh 2.74-2.79
7 Rh 0.0000 0.2380 0.0000 x2  6 Te 2.65-2.80, 2 Rh 2.85
8 Rh 0.0000 0.5000 0.5000 x1  6 Te 2.70-2.73, 2 Rh 2.90
9 Rh 0.2392 0.0000 0.7372 x2  6 Te 2.63-2.77
10 Rh 0.2436 0.2463 0.2560 x4  6 Te 2.67-2.81, 2 Rh 2.85-2.86
11 Rh 0.2634 0.5000 0.7440 x2  6 Te 2.65-2.83, 2 Rh 2.81-2.90
12 Rh 0.5000 0.0000 0.0000 x1  6 Te 2.70-2.74, 2 Rh 2.99
13 Rh 0.5000 0.2638 0.5000 x2  6 Te 2.68-2.79, 2 Rh 2.86
14 Rh 0.5000 0.5000 0.0000 x1  6 Te 2.71-2.75, 2 Rh 2.81

Summary:
**Total magnetic moment**: 0.000 Bohr magnetons per cell
**Crystal system**: monoclinic
**Calculated density**: 9.3 g/cm³
**Calculated total energy**: -25.1658 eV/atom
**Energy of formation from the pure elements**: -0.37 eV/atom

Entry 3:
Below is a relaxed structure of Ti3Sn5S12, with properties calculated at the meta-GGA r2SCAN level.

Cell: 9.1721 3.6194 13.8156 Å, 90.00 90.43 90.00°
With the nearest neighbours (Å) after each atom.
Space group Pm (No. 6)
Inequivalent atoms, fractional coordinates:
1 Ti 0.0000 0.0000 0.0000 x1  6 S 2.40-2.49
2 Ti 0.1776 0.5000 0.5132 x1  6 S 2.36-2.54
3 Ti 0.6923 0.5000 0.9068 x1  6 S 2.42-2.48
4 Sn 0.2935 0.5000 0.1137 x1  3 S 2.58-2.66
5 Sn 0.4022 0.0000 0.7824 x1  3 S 2.57-2.70
6 Sn 0.4938 0.0000 0.4027 x1  6 S 2.55-2.58
7 Sn 0.8008 0.5000 0.2778 x1  3 S 2.59-2.76
8 Sn 0.8893 0.0000 0.6254 x1  3 S 2.60-2.68
9 S 0.0235 0.0000 0.4538 x1  2 Ti 2.44, 1 Sn 2.68
10 S 0.0806 0.5000 0.6712 x1  1 Ti 2.36, 2 Sn 2.60
11 S 0.1057 0.0000 0.1598 x1  1 Ti 2.40, 2 Sn 2.58
12 S 0.1578 0.5000 0.9432 x1  2 Ti 2.45, 1 Sn 2.66
13 S 0.3122 0.5000 0.3531 x1  1 Ti 2.54, 2 Sn 2.55
14 S 0.3516 0.0000 0.5633 x1  2 Ti 2.51, 1 Sn 2.58
15 S 0.5318 0.0000 0.9588 x1  2 Ti 2.44, 1 Sn 2.70
16 S 0.5915 0.5000 0.7428 x1  1 Ti 2.44, 2 Sn 2.57
17 S 0.6087 0.0000 0.2347 x1  3 Sn 2.56-2.59
18 S 0.6717 0.5000 0.4575 x1  3 Sn 2.55-2.76
19 S 0.8337 0.5000 0.0553 x1  3 Ti 2.42-2.49
20 S 0.8570 0.0000 0.8507 x1  3 Ti 2.44-2.48

Summary:
**Total magnetic moment**: 0.000 Bohr magnetons per cell
**Crystal system**: monoclinic
**Calculated density**: 4.1 g/cm³
**Calculated total energy**: -13.8640 eV/atom
**Energy of formation from the pure elements**: -0.92 eV/atom

Entry 4:
Below is a relaxed structure of Ba2YGaTe5, with properties calculated at the meta-GGA r2SCAN level.

Cell: 4.4998 20.4623 14.3102 Å, 90.00 90.00 90.00°
With the nearest neighbours (Å) after each atom.
Space group Cmc2_1 (No. 36)
Inequivalent atoms, fractional coordinates:
1 Ba 0.0000 0.1212 0.0000 x4  7 Te 3.46-3.73
2 Ba 0.0000 0.1274 0.6384 x4  7 Te 3.47-3.87
3 Y 0.0000 0.2047 0.3388 x4  6 Te 3.00-3.24
4 Ga 0.0000 0.4395 0.7414 x4  4 Te 2.58-2.73
5 Te 0.0000 0.0465 0.3480 x4  2 Ga 2.73
6 Te 0.0000 0.2958 0.9824 x4  2 Y 3.05
7 Te 0.0000 0.3136 0.6860 x4  1 Ga 2.70
8 Te 0.0000 0.3508 0.3205 x4  1 Y 3.00
9 Te 0.0000 0.4989 0.0840 x4  1 Ga 2.58

Summary:
**Total magnetic moment**: 0.000 Bohr magnetons per cell
**Crystal system**: orthorhombic
**Calculated density**: 5.4 g/cm³
**Calculated total energy**: -25.0612 eV/atom
**Energy of formation from the pure elements**: -1.52 eV/atom

Entry 5:
Below is a relaxed structure of LiGd2Ru, with properties calculated at the meta-GGA r2SCAN level.

Cell: 6.9993 6.9993 6.9993 Å, 90.00 90.00 90.00°
With the nearest neighbours (Å) after each atom.
Space group Fm-3m (No. 225)
Inequivalent atoms, fractional coordinates:
1 Li 0.0000 0.0000 0.0000 x4  8 Gd 3.03
2 Gd 0.2500 0.2500 0.2500 x8  4 Ru 3.03, 4 Li 3.03
3 Ru 0.0000 0.0000 0.5000 x4  8 Gd 3.03

Summary:
**Total magnetic moment**: 58.084 Bohr magnetons per cell
**Crystal system**: cubic
**Calculated density**: 8.2 g/cm³
**Calculated total energy**: -28.8429 eV/atom
**Energy of formation from the pure elements**: -0.19 eV/atom

Entry 6:
Below is a relaxed structure of LiTaSiO5, with properties calculated at the meta-GGA r2SCAN level.

Cell: 7.4497 7.8845 7.4726 Å, 90.00 119.46 90.00°
With the nearest neighbours (Å) after each atom.
Space group P2_1/c (No. 14)
Inequivalent atoms, fractional coordinates:
1 Li 0.2481 0.0668 0.1909 x4  4 O 1.93-2.02
2 Ta 0.2519 0.7399 0.9930 x4  6 O 1.90-2.04
3 Si 0.2504 0.1106 0.7595 x4  4 O 1.62-1.63
4 O 0.0553 0.2392 0.6478 x4  1 Si 1.63
5 O 0.2425 0.5074 0.4338 x4  1 Si 1.62
6 O 0.2489 0.6717 0.7475 x4  2 Ta 1.90-2.04, 1 Li 1.93
7 O 0.2640 0.5117 0.0914 x4  1 Si 1.63
8 O 0.4422 0.2433 0.8533 x4  1 Si 1.63

Summary:
**Total magnetic moment**: 0.000 Bohr magnetons per cell
**Crystal system**: monoclinic
**Calculated density**: 5.1 g/cm³
**Calculated total energy**: -14.2038 eV/atom
**Energy of formation from the pure elements**: -3.00 eV/atom

Entry 7:
Below is a relaxed structure of LuCdHg2, with properties calculated at the meta-GGA r2SCAN level.

Cell: 7.0547 7.0547 7.0547 Å, 90.00 90.00 90.00°
With the nearest neighbours (Å) after each atom.
Space group Fm-3m (No. 225)
Inequivalent atoms, fractional coordinates:
1 Lu 0.0000 0.0000 0.0000 x4  8 Hg 3.05
2 Cd 0.0000 0.0000 0.5000 x4  8 Hg 3.05
3 Hg 0.2500 0.2500 0.2500 x8  4 Lu 3.05, 4 Cd 3.05

Summary:
**Total magnetic moment**: 0.000 Bohr magnetons per cell
**Crystal system**: cubic
**Calculated density**: 13.0 g/cm³
**Calculated total energy**: -39.5813 eV/atom
**Energy of formation from the pure elements**: -0.35 eV/atom

Entry 8:
Below is a relaxed structure of LaEuZn2, with properties calculated at the meta-GGA r2SCAN level.

Cell: 7.4871 7.4871 7.4871 Å, 90.00 90.00 90.00°
With the nearest neighbours (Å) after each atom.
Space group Fm-3m (No. 225)
Inequivalent atoms, fractional coordinates:
1 La 0.0000 0.0000 0.0000 x4  8 Zn 3.24
2 Eu 0.0000 0.0000 0.5000 x4  8 Zn 3.24
3 Zn 0.2500 0.2500 0.2500 x8  4 Eu 3.24, 4 La 3.24

Summary:
**Total magnetic moment**: 28.301 Bohr magnetons per cell
**Crystal system**: cubic
**Calculated density**: 6.7 g/cm³
**Calculated total energy**: -21.8200 eV/atom
**Energy of formation from the pure elements**: -0.30 eV/atom

What is the calculated total energy in the fifth record?
-28.8429 eV/atom

total magnetic moment of number 6 (LiTaSiO5)?
0.000 Bohr magnetons per cell